## Fe4O3F5 (PBE+U)

Data for a geometry-optimized Fe4O3F5 structure.

```
24
Lattice="-0.5505 -4.6193 1.0168 6.7533 -1.5330 -3.6657 1.9821 1.4688 7.5609" Properties=species:S:1:pos:R:3 pbc="T T T"
F 3.5821 -2.4954 5.7731
F 3.1609 -4.0184 0.8121
F 6.1835 -1.2916 1.5254
O 6.0123 -3.9723 0.3062
F 7.7024 -1.4634 3.8078
Fe 5.8228 -3.6759 -1.5730
Fe 3.4171 -1.9237 3.6920
F 0.4826 -3.2200 1.1042
O 3.3835 -1.4378 1.8175
F 7.6205 -4.0589 2.8654
Fe 2.3621 -1.0075 6.4850
F 5.0240 -0.6651 4.0998
O 2.1726 -0.7111 4.6058
F 0.5644 -0.6245 2.0466
Fe 2.1989 -0.2379 0.9061
F 4.6028 -2.1880 -0.8611
O 4.8014 -3.2456 3.0944
O 1.7696 -1.2739 -0.6156
Fe 3.3766 -0.7665 -1.8329
Fe 0.9910 0.7344 3.7804
Fe 4.7678 -2.7597 1.2200
Fe 5.9860 -4.4455 4.0059
F 2.0014 -3.3918 3.3866
O 6.4153 -3.4095 5.5275
```

Calculated values
calculated total energy: -5.89 eV/atom